Entry 1:
{
  "formula": "SrB2O4",
  "functional": "r2SCAN",
  "state": "optimized geometry",
  "lattice": [[12.054, 0.000, 0.000], [0.000, 4.348, 0.000], [0.000, 0.000, 6.569]],
  "species": ["Sr", "Sr", "Sr", "Sr", "B", "B", "B", "B", "B", "B", "B", "B", "O", "O", "O", "O", "O", "O", "O", "O", "O", "O", "O", "O", "O", "O", "O", "O"],
  "frac_coords": [[0.000, 0.239, 0.250], [0.000, 0.761, 0.750], [0.500, 0.261, 0.750], [0.500, 0.739, 0.250], [0.194, 0.329, 0.626], [0.194, 0.671, 0.126], [0.306, 0.171, 0.126], [0.306, 0.829, 0.626], [0.694, 0.171, 0.374], [0.694, 0.829, 0.874], [0.806, 0.329, 0.874], [0.806, 0.671, 0.374], [0.091, 0.236, 0.594], [0.091, 0.764, 0.094], [0.211, 0.352, 0.147], [0.211, 0.648, 0.647], [0.289, 0.148, 0.647], [0.289, 0.852, 0.147], [0.409, 0.264, 0.094], [0.409, 0.736, 0.594], [0.591, 0.264, 0.406], [0.591, 0.736, 0.906], [0.711, 0.148, 0.853], [0.711, 0.852, 0.353], [0.789, 0.352, 0.353], [0.789, 0.648, 0.853], [0.909, 0.236, 0.906], [0.909, 0.764, 0.406]],
  "crystal_system": "orthorhombic",
  "delta_e_f_ev_per_atom": -2.92
}


Entry 2:
{
  "formula": "Er2FeGe4",
  "functional": "r2SCAN",
  "state": "optimized geometry",
  "lattice": [[4.096, 0.000, 0.000], [0.000, 4.153, 0.000], [0.000, 0.000, 15.677]],
  "species": ["Er", "Er", "Er", "Er", "Fe", "Fe", "Ge", "Ge", "Ge", "Ge", "Ge", "Ge", "Ge", "Ge"],
  "frac_coords": [[0.000, 0.000, 0.000], [0.000, 0.500, 0.500], [0.500, 0.000, 0.209], [0.500, 0.500, 0.709], [0.000, 0.000, 0.798], [0.000, 0.500, 0.298], [0.000, 0.000, 0.363], [0.000, 0.000, 0.651], [0.000, 0.500, 0.151], [0.000, 0.500, 0.863], [0.500, 0.000, 0.547], [0.500, 0.000, 0.863], [0.500, 0.500, 0.047], [0.500, 0.500, 0.363]],
  "crystal_system": "orthorhombic",
  "delta_e_f_ev_per_atom": -0.54
}


Copy entry 2 word for word.
{
  "formula": "Er2FeGe4",
  "functional": "r2SCAN",
  "state": "optimized geometry",
  "lattice": [[4.096, 0.000, 0.000], [0.000, 4.153, 0.000], [0.000, 0.000, 15.677]],
  "species": ["Er", "Er", "Er", "Er", "Fe", "Fe", "Ge", "Ge", "Ge", "Ge", "Ge", "Ge", "Ge", "Ge"],
  "frac_coords": [[0.000, 0.000, 0.000], [0.000, 0.500, 0.500], [0.500, 0.000, 0.209], [0.500, 0.500, 0.709], [0.000, 0.000, 0.798], [0.000, 0.500, 0.298], [0.000, 0.000, 0.363], [0.000, 0.000, 0.651], [0.000, 0.500, 0.151], [0.000, 0.500, 0.863], [0.500, 0.000, 0.547], [0.500, 0.000, 0.863], [0.500, 0.500, 0.047], [0.500, 0.500, 0.363]],
  "crystal_system": "orthorhombic",
  "delta_e_f_ev_per_atom": -0.54
}